[1]
! Ca2Mg, optimized geometry, DFT PBE-GGA; values from VASP
&SYSTEM
  ibrav = 0, nat = 6, ntyp = 2
/
ATOMIC_SPECIES
Ca 40.08 Ca.upf
Mg 24.30 Mg.upf
CELL_PARAMETERS angstrom
6.372 0.000 0.000
-3.186 5.518 0.000
0.000 0.000 5.969
ATOMIC_POSITIONS crystal
Ca 0.000 0.000 0.000
Ca 0.000 0.653 0.500
Ca 0.347 0.347 0.500
Ca 0.653 0.000 0.500
Mg 0.333 0.667 0.000
Mg 0.667 0.333 0.000
! - crystal system = hexagonal
! - space-group type = P-62m, No. 189
! - energy of formation (eV per formula unit) = 0.1



[2]
! CeClO, optimized geometry, DFT PBE-GGA; values from VASP
&SYSTEM
  ibrav = 0, nat = 6, ntyp = 3
/
ATOMIC_SPECIES
Ce 140.12 Ce.upf
Cl 35.45 Cl.upf
O 16.00 O.upf
CELL_PARAMETERS angstrom
4.063 0.000 0.000
0.000 4.063 0.000
0.000 0.000 6.925
ATOMIC_POSITIONS crystal
Ce 0.250 0.250 0.173
Ce 0.750 0.750 0.827
Cl 0.250 0.250 0.631
Cl 0.750 0.750 0.369
O 0.250 0.750 0.000
O 0.750 0.250 0.000
! - crystal system = tetragonal
! - space-group type = P4/nmm, No. 129
! - energy of formation (eV per formula unit) = -9.6



[3]
! EuRe2, optimized geometry, DFT PBE-GGA; values from VASP
&SYSTEM
  ibrav = 0, nat = 12, ntyp = 2
/
ATOMIC_SPECIES
Eu 151.96 Eu.upf
Re 186.21 Re.upf
CELL_PARAMETERS angstrom
5.496 0.000 0.000
-2.748 4.760 0.000
0.000 0.000 8.830
ATOMIC_POSITIONS crystal
Eu 0.333 0.667 0.062
Eu 0.333 0.667 0.438
Eu 0.667 0.333 0.562
Eu 0.667 0.333 0.938
Re 0.000 0.000 0.000
Re 0.000 0.000 0.500
Re 0.171 0.342 0.750
Re 0.171 0.829 0.750
Re 0.342 0.171 0.250
Re 0.658 0.829 0.750
Re 0.829 0.171 0.250
Re 0.829 0.658 0.250
! - crystal system = hexagonal
! - space-group type = P6_3/mmc, No. 194
! - energy of formation (eV per formula unit) = 0.6